(1)
A geometry-optimized ScRu structure. Source: Materials Project, functional r²SCAN.

The structure in POSCAR format:
```
ScRu
1.0
3.199 0.000 0.000
0.000 3.199 0.000
0.000 0.000 3.199
Sc Ru
1 1
Cartesian
0.000 0.000 0.000
1.599 1.599 1.599
```

raw total energy: -37.91 eV for the cell shown
space group: No. 221
energy of formation from the pure elements: -544 meV per atom

=====

(2)
A geometry-optimized KTa2PO8 structure. Source: Materials Project, functional r²SCAN.

The structure in POSCAR format:
```
KTa2PO8
1.0
6.660 3.845 3.463
-6.660 3.845 3.463
0.000 -7.691 3.463
K Ta P O
3 6 3 24
Cartesian
-4.785 0.933 3.463
1.584 -4.611 3.463
3.201 3.677 3.463
-1.311 -1.667 4.359
-0.788 1.969 4.359
2.099 -0.302 4.359
-0.828 -1.953 8.129
-1.277 1.694 8.129
2.105 0.259 8.129
-1.539 -5.076 4.546
-3.626 3.871 4.546
5.165 1.205 4.546
-3.044 -5.015 4.827
-1.358 -1.731 2.304
-3.171 -2.219 4.587
-4.516 -3.562 6.793
-0.924 -3.710 4.248
-0.820 2.041 2.304
-1.658 0.170 4.221
-2.751 2.655 4.248
2.178 -0.311 2.304
0.681 -1.521 4.221
-1.015 -1.760 6.264
-2.822 5.144 4.827
0.977 1.351 4.221
-0.336 3.856 4.587
-1.017 1.759 6.264
3.507 -1.637 4.587
-1.650 -0.142 8.339
3.675 1.055 4.248
2.032 0.001 6.264
0.948 -1.358 8.339
-0.827 5.692 6.793
5.865 -0.128 4.827
0.702 1.500 8.339
5.343 -2.130 6.793
```

raw total energy: -583.70 eV for the cell shown
space group: No. 146
energy of formation from the pure elements: -2882 meV per atom

=====

(3)
A geometry-optimized Rb8Ta6O19 structure. Source: Materials Project, functional r²SCAN.

The structure in POSCAR format:
```
Rb8Ta6O19
1.0
-4.892 4.892 6.701
4.892 -4.892 6.701
4.892 4.892 -6.701
Rb Ta O
8 6 19
Cartesian
2.664 -0.862 1.935
5.754 -2.228 4.766
7.119 0.862 1.935
0.862 2.664 1.935
4.029 2.228 4.766
-2.228 4.029 4.766
-0.862 7.119 1.935
2.228 5.754 4.766
3.852 2.748 0.000
0.000 0.000 4.375
2.144 -1.040 6.701
2.748 5.931 0.000
0.000 0.000 9.026
1.040 2.144 6.701
2.907 1.197 0.000
4.002 3.135 -1.957
0.000 0.000 2.557
5.759 2.293 0.000
1.757 -0.890 4.743
3.694 -1.984 6.701
2.293 4.024 0.000
3.135 5.781 -1.957
4.002 3.135 1.957
0.000 0.000 6.701
0.890 1.757 4.743
1.757 -0.890 8.658
2.598 0.868 6.701
1.197 6.876 0.000
3.135 5.781 1.957
-0.868 2.598 6.701
0.000 0.000 10.845
0.890 1.757 8.658
1.984 3.694 6.701
```

raw total energy: -607.49 eV for the cell shown
space group: No. 87
energy of formation from the pure elements: -2758 meV per atom